(1)
Below is crystalline Ce4Ru3 at its relaxed geometry, with properties calculated at the r²SCAN level.

Output
* energy of formation from the pure elements: -0.375 eV/atom
* crystal system: monoclinic
* symmetry: C2/m (12)
* VASP energy: -28.894 eV/atom
* M_tot: 0.00 μB per formula unit

Unit cell a=7.905 b=7.905 c=5.925 alpha=76.73 beta=76.73 gamma=114.06
Sites, in units of the cell vectors:
1 Ce 0.615 0.885 0.158
2 Ce 0.647 0.647 0.729
3 Ce 0.385 0.115 0.842
4 Ce 0.885 0.615 0.158
5 Ru 0.574 0.170 0.252
6 Ce 0.115 0.385 0.842
7 Ru 0.012 0.012 0.742
8 Ru 0.170 0.574 0.252
9 Ru 0.988 0.988 0.258
10 Ru 0.830 0.426 0.748
11 Ce 0.353 0.353 0.271
12 Ru 0.426 0.830 0.748
13 Ce 0.164 0.836 0.500
14 Ce 0.836 0.164 0.500

***

(2)
Below is crystalline Zr7As4 at its relaxed geometry, with properties calculated at the r²SCAN level.

Output
* energy of formation from the pure elements: -1.133 eV/atom
* crystal system: monoclinic
* symmetry: C2/m (12)
* VASP energy: -20.958 eV/atom
* M_tot: 0.00 μB per formula unit

Unit cell a=3.705 b=8.331 c=15.136 alpha=104.52 beta=90.00 gamma=102.85
Sites, in units of the cell vectors:
1 Zr 0.000 0.000 0.000
2 As 0.178 0.357 0.109
3 Zr 0.805 0.610 0.692
4 Zr 0.821 0.641 0.456
5 As 0.370 0.740 0.340
6 Zr 0.662 0.323 0.967
7 Zr 0.997 0.994 0.336
8 Zr 0.794 0.589 0.204
9 Zr 0.338 0.677 0.033
10 Zr 0.195 0.390 0.308
11 Zr 0.430 0.860 0.834
12 As 0.938 0.876 0.150
13 Zr 0.206 0.411 0.796
14 As 0.630 0.260 0.660
15 As 0.822 0.643 0.891
16 Zr 0.003 0.006 0.664
17 As 0.372 0.745 0.600
18 As 0.628 0.255 0.400
19 Zr 0.500 0.000 0.500
20 Zr 0.179 0.359 0.544
21 Zr 0.570 0.140 0.166
22 As 0.062 0.124 0.850

***

(3)
Below is crystalline SiO2 at its relaxed geometry, with properties calculated at the r²SCAN level.

Output
* energy of formation from the pure elements: -3.019 eV/atom
* crystal system: orthorhombic
* symmetry: Amm2 (38)
* VASP energy: -9.925 eV/atom
* M_tot: 0.00 μB per formula unit

Unit cell a=12.447 b=12.447 c=12.550 alpha=90.00 beta=90.00 gamma=124.32
Sites, in units of the cell vectors:
1 Si 0.669 0.063 0.122
2 O 0.045 0.728 0.317
3 O 0.881 0.797 0.302
4 Si 0.937 0.331 0.122
5 O 0.423 0.192 0.605
6 Si 0.330 0.670 0.624
7 Si 0.794 0.468 0.126
8 O 0.145 0.286 0.651
9 Si 0.775 0.490 0.500
10 O 0.145 0.286 0.349
11 O 0.572 0.142 0.500
12 O 0.964 0.036 0.645
13 O 0.350 0.650 0.500
14 O 0.821 0.179 0.132
15 O 0.885 0.418 0.842
16 Si 0.937 0.331 0.878
17 O 0.808 0.577 0.395
18 O 0.056 0.361 0.805
19 O 0.399 0.157 0.811
20 O 0.203 0.119 0.698
21 O 0.468 0.754 0.683
22 Si 0.113 0.389 0.315
23 O 0.257 0.743 0.368
24 Si 0.654 0.079 0.500
25 O 0.843 0.601 0.811
26 O 0.644 0.356 0.156
27 O 0.009 0.382 0.395
28 O 0.582 0.115 0.842
29 O 0.582 0.115 0.158
30 Si 0.184 0.816 0.376
31 O 0.808 0.192 0.500
32 O 0.885 0.418 0.158
33 O 0.503 0.196 0.000
34 Si 0.895 0.676 0.301
35 O 0.045 0.728 0.683
36 O 0.858 0.849 0.500
37 O 0.151 0.142 0.500
38 Si 0.854 0.884 0.376
39 Si 0.921 0.346 0.500
40 O 0.009 0.382 0.605
41 O 0.257 0.743 0.632
42 O 0.618 0.991 0.395
43 Si 0.669 0.063 0.878
44 Si 0.611 0.887 0.315
45 O 0.423 0.192 0.395
46 Si 0.854 0.884 0.624
47 O 0.246 0.532 0.317
48 O 0.987 0.365 0.000
49 Si 0.895 0.676 0.699
50 O 0.858 0.428 0.500
51 Si 0.116 0.146 0.624
52 O 0.644 0.356 0.844
53 O 0.881 0.797 0.698
54 O 0.399 0.157 0.189
55 O 0.618 0.991 0.605
56 Si 0.324 0.105 0.301
57 O 0.056 0.361 0.195
58 O 0.272 0.955 0.317
59 O 0.821 0.179 0.868
60 Si 0.611 0.887 0.685
61 O 0.203 0.119 0.302
62 Si 0.324 0.105 0.699
63 Si 0.510 0.225 0.500
64 O 0.246 0.532 0.683
65 Si 0.184 0.816 0.624
66 O 0.639 0.944 0.805
67 Si 0.113 0.389 0.685
68 O 0.163 0.837 0.500
69 O 0.635 0.013 0.000
70 O 0.272 0.955 0.683
71 O 0.964 0.036 0.355
72 Si 0.532 0.206 0.874
73 Si 0.330 0.670 0.376
74 O 0.714 0.855 0.349
75 Si 0.532 0.206 0.126
76 O 0.808 0.577 0.605
77 O 0.468 0.754 0.317
78 O 0.843 0.601 0.189
79 Si 0.116 0.146 0.376
80 O 0.639 0.944 0.195
81 O 0.804 0.497 0.000
82 O 0.622 0.378 0.500
83 O 0.714 0.855 0.651
84 Si 0.794 0.468 0.874

***

(4)
Below is crystalline Sr3Sn4Bi at its relaxed geometry, with properties calculated at the r²SCAN level.

Output
* energy of formation from the pure elements: -0.675 eV/atom
* crystal system: tetragonal
* symmetry: I4/mcm (140)
* VASP energy: -26.041 eV/atom
* M_tot: 0.00 μB per formula unit

Unit cell a=9.049 b=9.049 c=9.049 alpha=120.36 beta=120.36 gamma=89.37
Sites, in units of the cell vectors:
1 Sr 0.337 0.163 0.500
2 Sn 0.337 0.549 0.500
3 Sr 0.750 0.750 0.000
4 Bi 0.000 0.000 0.000
5 Bi 0.500 0.500 0.000
6 Sr 0.663 0.837 0.500
7 Sn 0.549 0.049 0.212
8 Sn 0.951 0.163 0.500
9 Sn 0.837 0.337 0.788
10 Sn 0.663 0.451 0.500
11 Sn 0.451 0.951 0.788
12 Sr 0.837 0.337 0.174
13 Sn 0.049 0.837 0.500
14 Sr 0.163 0.663 0.826
15 Sn 0.163 0.663 0.212
16 Sr 0.250 0.250 0.000

***

(5)
Below is crystalline K2SO4 at its relaxed geometry, with properties calculated at the r²SCAN level.

Output
* energy of formation from the pure elements: -2.037 eV/atom
* crystal system: orthorhombic
* relative energy among the computed polymorphs: 0.18 eV/f.u.
* symmetry: Cmcm (63)
* VASP energy: -8.317 eV/atom
* M_tot: 0.00 μB per formula unit

Unit cell a=5.746 b=5.746 c=7.871 alpha=90.03 beta=90.03 gamma=118.52
Sites, in units of the cell vectors:
1 O 0.359 0.230 0.250
2 K 0.310 0.690 0.250
3 O 0.738 0.262 0.403
4 S 0.652 0.348 0.250
5 O 0.641 0.770 0.750
6 O 0.262 0.738 0.903
7 K 0.000 0.000 0.000
8 O 0.738 0.262 0.097
9 S 0.348 0.652 0.750
10 O 0.262 0.738 0.597
11 K 0.690 0.310 0.750
12 O 0.230 0.359 0.750
13 O 0.770 0.641 0.250
14 K 0.000 0.000 0.500

***

(6)
Below is crystalline La2Cu3Ni at its relaxed geometry, with properties calculated at the r²SCAN level.

Output
* energy of formation from the pure elements: -0.215 eV/atom
* crystal system: orthorhombic
* symmetry: Pmm2 (25)
* VASP energy: -17.551 eV/atom
* M_tot: 0.00 μB per formula unit

Unit cell a=3.868 b=4.278 c=7.307 alpha=90.00 beta=90.00 gamma=90.00
Sites, in units of the cell vectors:
1 Cu 0.500 0.000 0.170
2 Cu 0.500 0.500 0.664
3 La 0.000 0.500 0.011
4 La 0.000 0.000 0.492
5 Ni 0.500 0.500 0.330
6 Cu 0.500 0.000 0.833